# 1
Entry from the Materials Project: GdGa8Fe4 after structural relaxation (PBE-GGA).

Properties
As for the space group: I4/mmm, No. 139. The value obtained for the energy of formation is -6.55 kcal/mol of atoms.

Unit cell a=6.6389 b=6.6389 c=6.6389 alpha=98.43 beta=98.43 gamma=134.96
Closest atoms and distances in Å follow each position.
Sites, in units of the cell vectors:
Gd 0.0000 0.0000 0.0000  12 Ga 2.96-3.17
Ga 0.2811 0.5000 0.7811  4 Fe 2.53, 6 Ga 2.68-2.80
Ga 0.7189 0.5000 0.2189  4 Fe 2.53, 6 Ga 2.68-2.80
Ga 0.5000 0.2811 0.7811  4 Fe 2.53, 6 Ga 2.68-2.80
Ga 0.5000 0.7189 0.2189  4 Fe 2.53, 6 Ga 2.68-2.80
Ga 0.3407 0.0000 0.3407  4 Fe 2.63, 5 Ga 2.75-2.80
Ga 0.6593 0.0000 0.6593  4 Fe 2.63, 5 Ga 2.75-2.80
Ga 0.0000 0.3407 0.3407  4 Fe 2.63, 5 Ga 2.75-2.80
Ga 0.0000 0.6593 0.6593  4 Fe 2.63, 5 Ga 2.75-2.80
Fe 0.5000 0.5000 0.5000  8 Ga 2.53-2.63, 2 Fe 2.54
Fe 0.0000 0.0000 0.5000  8 Ga 2.53-2.63, 2 Fe 2.54
Fe 0.0000 0.5000 0.0000  8 Ga 2.53-2.63, 2 Fe 2.54
Fe 0.5000 0.0000 0.0000  8 Ga 2.53-2.63, 2 Fe 2.54



# 2
Entry from the Materials Project: GdGa6Fe6 after structural relaxation (PBE-GGA).

Properties
As for the space group: Fmmm, No. 69. The value obtained for the energy of formation is -3.07 kcal/mol of atoms.

Unit cell a=8.5025 b=6.5617 c=6.4403 alpha=81.67 beta=49.78 gamma=48.54
Closest atoms and distances in Å follow each position.
Sites, in units of the cell vectors:
Gd 0.0000 0.0000 0.0000  8 Ga 2.99-3.22, 12 Fe 3.08-3.28
Ga 0.0000 0.0000 0.5000  6 Ga 2.47-2.76, 4 Fe 2.50
Ga 0.5000 0.5000 0.0000  6 Ga 2.47-2.76, 4 Fe 2.50
Ga 0.0198 0.3502 0.6498  5 Fe 2.45-2.73, 1 Ga 2.56
Ga 0.9802 0.6498 0.3502  5 Fe 2.45-2.73, 1 Ga 2.56
Ga 0.6498 0.9802 0.0198  5 Fe 2.45-2.73, 1 Ga 2.56
Ga 0.3502 0.0198 0.9802  5 Fe 2.45-2.73, 1 Ga 2.56
Fe 0.4958 0.2846 0.7154  4 Fe 2.45-2.67, 5 Ga 2.50-2.73
Fe 0.5042 0.7154 0.2846  4 Fe 2.45-2.67, 5 Ga 2.50-2.73
Fe 0.7154 0.5042 0.4958  4 Fe 2.45-2.67, 5 Ga 2.50-2.73
Fe 0.2846 0.4958 0.5042  4 Fe 2.45-2.67, 5 Ga 2.50-2.73
Fe 0.5000 0.0000 0.5000  4 Ga 2.45, 6 Fe 2.45-2.47
Fe 0.0000 0.5000 0.0000  4 Ga 2.45, 6 Fe 2.45-2.47



# 3
Entry from the Materials Project: GaFeGe after structural relaxation (PBE-GGA).

Properties
As for the space group: Fddd, No. 70. The value obtained for the energy of formation is -2.67 kcal/mol of atoms.

Unit cell a=9.0924 b=8.3799 c=5.0349 alpha=81.21 beta=65.62 gamma=33.18
Closest atoms and distances in Å follow each position.
Sites, in units of the cell vectors:
Ga 0.0853 0.0853 0.9147  4 Fe 2.58-2.63, 3 Ga 2.73-2.82
Ga 0.9147 0.9147 0.0853  4 Fe 2.58-2.63, 3 Ga 2.73-2.82
Ga 0.1647 0.1647 0.3353  4 Fe 2.58-2.63, 3 Ga 2.73-2.82
Ga 0.3353 0.3353 0.1647  4 Fe 2.58-2.63, 3 Ga 2.73-2.82
Fe 0.3718 0.3718 0.6282  4 Ge 2.44-2.49, 2 Fe 2.52, 4 Ga 2.58-2.63
Fe 0.6282 0.6282 0.3718  4 Ge 2.44-2.49, 2 Fe 2.52, 4 Ga 2.58-2.63
Fe 0.8782 0.8782 0.6218  4 Ge 2.44-2.49, 2 Fe 2.52, 4 Ga 2.58-2.63
Fe 0.6218 0.6218 0.8782  4 Ge 2.44-2.49, 2 Fe 2.52, 4 Ga 2.58-2.63
Ge 0.3377 0.6623 0.3377  4 Fe 2.44-2.49
Ge 0.6623 0.3377 0.6623  4 Fe 2.44-2.49
Ge 0.9123 0.5877 0.9123  4 Fe 2.44-2.49
Ge 0.5877 0.9123 0.5877  4 Fe 2.44-2.49



# 4
Entry from the Materials Project: Tb4Ga6FeGe6 after structural relaxation (PBE-GGA).

Properties
As for the space group: Im-3m, No. 229. The value obtained for the energy of formation is -11.28 kcal/mol of atoms.

Unit cell a=7.4507 b=7.4507 c=7.4507 alpha=109.47 beta=109.47 gamma=109.47
Closest atoms and distances in Å follow each position.
Sites, in units of the cell vectors:
Tb 0.0000 0.0000 0.5000  6 Ga 3.04, 6 Ge 3.06
Tb 0.5000 0.5000 0.5000  6 Ga 3.04, 6 Ge 3.06
Tb 0.0000 0.5000 0.0000  6 Ga 3.04, 6 Ge 3.06
Tb 0.5000 0.0000 0.0000  6 Ga 3.04, 6 Ge 3.06
Ga 0.7500 0.5000 0.2500  4 Ge 2.82, 4 Tb 3.04, 4 Ga 3.04
Ga 0.5000 0.7500 0.2500  4 Ge 2.82, 4 Tb 3.04, 4 Ga 3.04
Ga 0.7500 0.2500 0.5000  4 Ge 2.82, 4 Tb 3.04, 4 Ga 3.04
Ga 0.2500 0.7500 0.5000  4 Ge 2.82, 4 Tb 3.04, 4 Ga 3.04
Ga 0.2500 0.5000 0.7500  4 Ge 2.82, 4 Tb 3.04, 4 Ga 3.04
Ga 0.5000 0.2500 0.7500  4 Ge 2.82, 4 Tb 3.04, 4 Ga 3.04
Fe 0.0000 0.0000 0.0000  6 Ge 2.48
Ge 0.2879 0.2879 0.0000  1 Fe 2.48
Ge 0.0000 0.2879 0.2879  1 Fe 2.48
Ge 0.0000 0.7121 0.7121  1 Fe 2.48
Ge 0.7121 0.7121 0.0000  1 Fe 2.48
Ge 0.2879 0.0000 0.2879  1 Fe 2.48
Ge 0.7121 0.0000 0.7121  1 Fe 2.48



# 5
Entry from the Materials Project: Y4Ga6FeGe6 after structural relaxation (PBE-GGA).

Properties
As for the space group: Im-3m, No. 229. The value obtained for the energy of formation is -11.05 kcal/mol of atoms.

Unit cell a=7.5101 b=7.5101 c=7.5101 alpha=109.47 beta=109.47 gamma=109.47
Closest atoms and distances in Å follow each position.
Sites, in units of the cell vectors:
Y 0.0000 0.0000 0.5000  6 Ga 3.07, 6 Ge 3.08
Y 0.0000 0.5000 0.0000  6 Ga 3.07, 6 Ge 3.08
Y 0.5000 0.0000 0.0000  6 Ga 3.07, 6 Ge 3.08
Y 0.5000 0.5000 0.5000  6 Ga 3.07, 6 Ge 3.08
Ga 0.7500 0.2500 0.5000  4 Ge 2.84, 4 Ga 3.07, 4 Y 3.07
Ga 0.7500 0.5000 0.2500  4 Ge 2.84, 4 Ga 3.07, 4 Y 3.07
Ga 0.5000 0.2500 0.7500  4 Ge 2.84, 4 Ga 3.07, 4 Y 3.07
Ga 0.2500 0.5000 0.7500  4 Ge 2.84, 4 Ga 3.07, 4 Y 3.07
Ga 0.2500 0.7500 0.5000  4 Ge 2.84, 4 Ga 3.07, 4 Y 3.07
Ga 0.5000 0.7500 0.2500  4 Ge 2.84, 4 Ga 3.07, 4 Y 3.07
Fe 0.0000 0.0000 0.0000  6 Ge 2.50
Ge 0.7116 0.7116 0.0000  1 Fe 2.50
Ge 0.2884 0.0000 0.2884  1 Fe 2.50
Ge 0.0000 0.2884 0.2884  1 Fe 2.50
Ge 0.2884 0.2884 0.0000  1 Fe 2.50
Ge 0.7116 0.0000 0.7116  1 Fe 2.50
Ge 0.0000 0.7116 0.7116  1 Fe 2.50



# 6
Entry from the Materials Project: Hf6Ga2Fe after structural relaxation (PBE-GGA).

Properties
As for the space group: P-62m, No. 189. The value obtained for the energy of formation is -7.93 kcal/mol of atoms.

Unit cell a=3.2923 b=7.8008 c=7.8008 alpha=120.00 beta=90.00 gamma=90.00
Closest atoms and distances in Å follow each position.
Sites, in units of the cell vectors:
Hf 0.5000 0.7491 0.7491  2 Fe 2.56
Hf 0.5000 0.0000 0.2509  2 Fe 2.56
Hf 0.5000 0.2509 0.0000  2 Fe 2.56
Hf 0.0000 0.3973 0.3973  4 Ga 2.90, 1 Fe 3.10, 6 Hf 3.17-3.20
Hf 0.0000 0.0000 0.6027  4 Ga 2.90, 1 Fe 3.10, 6 Hf 3.17-3.20
Hf 0.0000 0.6027 0.0000  4 Ga 2.90, 1 Fe 3.10, 6 Hf 3.17-3.20
Ga 0.5000 0.6667 0.3333  9 Hf 2.90-2.97
Ga 0.5000 0.3333 0.6667  9 Hf 2.90-2.97
Fe 0.0000 0.0000 0.0000  6 Hf 2.56